[1]
Compound: SrGe3
Source: the Materials Project
Functional: PBE
Structure: optimized geometry

- spin magnetization (μB per formula unit) = 0.00
- energy of formation from the pure elements (eV per formula unit) = -1.13
- crystal system = tetragonal

Unit cell a=8.225 b=8.225 c=8.225 alpha=123.28 beta=123.28 gamma=84.40
Fractional positions:
Sr: 0.171 0.171 0.000
Sr: 0.250 0.750 0.500
Sr: 0.750 0.250 0.500
Sr: 0.829 0.829 0.000
Ge: 0.000 0.337 0.337
Ge: 0.000 0.663 0.663
Ge: 0.213 0.213 0.638
Ge: 0.213 0.574 0.000
Ge: 0.337 0.000 0.337
Ge: 0.426 0.426 0.638
Ge: 0.426 0.787 0.000
Ge: 0.574 0.213 0.000
Ge: 0.574 0.574 0.362
Ge: 0.663 0.000 0.663
Ge: 0.787 0.426 0.000
Ge: 0.787 0.787 0.362

=====

[2]
Compound: Mg2Mn3VS8
Source: the Materials Project
Functional: PBE
Structure: optimized geometry

- spin magnetization (μB per formula unit) = 14.00
- energy of formation from the pure elements (eV per formula unit) = -15.41
- MP2020-corrected energy (eV for the cell shown) = -88.28
- crystal system = trigonal

Unit cell a=7.269 b=7.269 c=7.269 alpha=59.94 beta=59.94 gamma=59.94
Fractional positions:
Mg: 0.125 0.125 0.125
Mg: 0.875 0.875 0.875
Mn: 0.000 0.500 0.500
Mn: 0.500 0.000 0.500
Mn: 0.500 0.500 0.000
V: 0.500 0.500 0.500
S: 0.262 0.262 0.262
S: 0.263 0.263 0.713
S: 0.263 0.713 0.263
S: 0.287 0.737 0.737
S: 0.713 0.263 0.263
S: 0.737 0.287 0.737
S: 0.737 0.737 0.287
S: 0.738 0.738 0.738

=====

[3]
Compound: CdB2H8
Source: the Materials Project
Functional: PBE
Structure: optimized geometry

- spin magnetization (μB per formula unit) = 0.00
- energy of formation from the pure elements (eV per formula unit) = -1.40
- MP2020-corrected energy (eV for the cell shown) = -85.65
- crystal system = tetragonal

Unit cell a=5.865 b=5.865 c=6.172 alpha=90.00 beta=90.00 gamma=90.00
Fractional positions:
Cd: 0.000 0.000 0.000
Cd: 0.500 0.500 0.500
B: 0.236 0.236 0.738
B: 0.264 0.736 0.238
B: 0.736 0.264 0.238
B: 0.764 0.764 0.738
H: 0.046 0.302 0.795
H: 0.128 0.872 0.318
H: 0.198 0.546 0.295
H: 0.222 0.222 0.543
H: 0.278 0.722 0.043
H: 0.302 0.046 0.795
H: 0.372 0.372 0.818
H: 0.454 0.802 0.295
H: 0.546 0.198 0.295
H: 0.628 0.628 0.818
H: 0.698 0.954 0.795
H: 0.722 0.278 0.043
H: 0.778 0.778 0.543
H: 0.802 0.454 0.295
H: 0.872 0.128 0.318
H: 0.954 0.698 0.795

=====

[4]
Compound: NaScNbP3O12
Source: the Materials Project
Functional: PBE
Structure: optimized geometry

- spin magnetization (μB per formula unit) = 0.00
- energy of formation from the pure elements (eV per formula unit) = -54.11
- MP2020-corrected energy (eV for the cell shown) = -884.90

Unit cell a=8.807 b=8.807 c=23.035 alpha=90.00 beta=90.00 gamma=120.00
Fractional positions:
Na: 0.000 0.000 0.497
Na: 0.000 0.000 0.997
Na: 0.667 0.333 0.830
Na: 0.667 0.333 0.330
Na: 0.333 0.667 0.164
Na: 0.333 0.667 0.664
Sc: 0.000 0.000 0.353
Sc: 0.000 0.000 0.853
Sc: 0.667 0.333 0.686
Sc: 0.667 0.333 0.186
Sc: 0.333 0.667 0.020
Sc: 0.333 0.667 0.520
Nb: 0.000 0.000 0.646
Nb: 0.000 0.000 0.146
Nb: 0.667 0.333 0.979
Nb: 0.667 0.333 0.479
Nb: 0.333 0.667 0.313
Nb: 0.333 0.667 0.813
P: 0.290 0.002 0.251
P: 0.712 0.710 0.251
P: 0.998 0.288 0.251
P: 0.290 0.288 0.751
P: 0.998 0.710 0.751
P: 0.712 0.002 0.751
P: 0.957 0.335 0.584
P: 0.379 0.043 0.584
P: 0.665 0.621 0.584
P: 0.957 0.621 0.084
P: 0.665 0.043 0.084
P: 0.379 0.335 0.084
P: 0.623 0.669 0.918
P: 0.045 0.377 0.918
P: 0.331 0.955 0.918
P: 0.623 0.955 0.418
P: 0.331 0.377 0.418
P: 0.045 0.669 0.418
O: 0.205 0.026 0.304
O: 0.821 0.795 0.304
O: 0.974 0.179 0.304
O: 0.205 0.179 0.804
O: 0.974 0.795 0.804
O: 0.821 0.026 0.804
O: 0.799 0.970 0.696
O: 0.171 0.201 0.696
O: 0.030 0.829 0.696
O: 0.799 0.829 0.196
O: 0.030 0.201 0.196
O: 0.171 0.970 0.196
O: 0.872 0.360 0.638
O: 0.487 0.128 0.638
O: 0.640 0.513 0.638
O: 0.872 0.513 0.138
O: 0.640 0.128 0.138
O: 0.487 0.360 0.138
O: 0.466 0.303 0.029
O: 0.837 0.534 0.029
O: 0.697 0.163 0.029
O: 0.466 0.163 0.529
O: 0.697 0.534 0.529
O: 0.837 0.303 0.529
O: 0.539 0.693 0.971
O: 0.154 0.461 0.971
O: 0.307 0.846 0.971
O: 0.539 0.846 0.471
O: 0.307 0.461 0.471
O: 0.154 0.693 0.471
O: 0.132 0.636 0.362
O: 0.504 0.868 0.362
O: 0.364 0.496 0.362
O: 0.132 0.496 0.862
O: 0.364 0.868 0.862
O: 0.504 0.636 0.862
O: 0.019 0.825 0.409
O: 0.806 0.981 0.409
O: 0.175 0.194 0.409
O: 0.019 0.194 0.909
O: 0.175 0.981 0.909
O: 0.806 0.825 0.909
O: 0.971 0.164 0.591
O: 0.193 0.029 0.591
O: 0.836 0.807 0.591
O: 0.971 0.807 0.091
O: 0.836 0.029 0.091
O: 0.193 0.164 0.091
O: 0.686 0.158 0.743
O: 0.472 0.314 0.743
O: 0.842 0.528 0.743
O: 0.686 0.528 0.243
O: 0.842 0.314 0.243
O: 0.472 0.158 0.243
O: 0.638 0.497 0.924
O: 0.860 0.362 0.924
O: 0.503 0.140 0.924
O: 0.638 0.140 0.424
O: 0.503 0.362 0.424
O: 0.860 0.497 0.424
O: 0.353 0.491 0.076
O: 0.139 0.647 0.076
O: 0.509 0.861 0.076
O: 0.353 0.861 0.576
O: 0.509 0.647 0.576
O: 0.139 0.491 0.576
O: 0.304 0.831 0.258
O: 0.526 0.696 0.258
O: 0.169 0.474 0.258
O: 0.304 0.474 0.758
O: 0.169 0.696 0.758
O: 0.526 0.831 0.758